1.
28
Lattice="5.354 -3.034 0.000 5.354 3.034 0.000 -0.101 0.000 10.089" Properties=species:S:1:pos:R:3 comment="Li4Nb5Cr3O16, relaxed, DFT PBE+U" final_energy_ev_per_atom=-7.912 spacegroup="No. 8" formation_energy_kj_per_mol_fu=-6972 magnetic_moment_mub_per_fu=13.0 pbc="T T T"
Li 0.000 0.000 0.000
Li 0.037 0.000 5.065
Li 3.482 0.000 9.293
Li 7.138 0.000 4.096
Nb 1.872 0.000 2.378
Nb 3.711 0.000 5.079
Nb 6.334 1.350 7.335
Nb 7.211 0.000 0.109
Nb 6.334 -1.350 7.335
Cr 4.490 1.494 2.237
Cr 4.490 -1.494 2.237
Cr 8.949 0.000 7.272
O 0.041 0.000 3.200
O -0.011 0.000 8.230
O 2.721 1.336 3.554
O 1.828 0.000 6.084
O 4.555 1.465 6.070
O 3.532 0.000 1.211
O 6.355 1.540 1.104
O 2.721 -1.336 3.554
O 5.088 0.000 3.729
O 7.785 1.363 8.667
O 5.427 0.000 8.732
O 4.555 -1.465 6.070
O 7.303 0.000 6.048
O 8.907 0.000 0.940
O 6.355 -1.540 1.104
O 7.785 -1.363 8.667


2.
40
Lattice="8.626 0.000 0.000 4.050 7.624 0.000 4.086 2.587 7.289" Properties=species:S:1:pos:R:3 comment="Li6NbCr3P6O24, relaxed, DFT PBE+U" final_energy_ev_per_atom=-7.108 spacegroup="No. 1" formation_energy_kj_per_mol_fu=-10138 magnetic_moment_mub_per_fu=11.0 pbc="T T T"
Li 0.000 0.000 0.000
Li 5.560 6.389 2.593
Li 7.377 5.229 5.196
Li 8.223 7.127 0.421
Li 10.150 4.306 6.335
Li 9.882 2.080 3.802
Nb 8.246 8.110 3.703
Cr 3.344 5.170 1.606
Cr 7.562 2.538 5.128
Cr 8.380 2.963 0.038
P 4.516 3.925 4.477
P 2.876 1.881 0.806
P 10.000 7.645 6.723
P 8.872 4.786 2.893
P 11.418 8.386 2.208
P 14.304 8.141 6.029
O 1.371 1.812 0.459
O 6.366 7.868 4.623
O 4.395 4.930 3.323
O 3.322 3.259 1.237
O 4.021 2.490 4.041
O 3.053 0.807 1.968
O 5.166 5.442 0.732
O 5.992 3.869 4.885
O 9.000 7.558 5.506
O 7.892 3.982 6.951
O 7.964 6.072 3.163
O 10.990 8.798 6.501
O 9.938 8.044 2.581
O 10.651 6.256 6.785
O 8.803 4.003 4.245
O 8.260 4.057 1.704
O 8.068 1.570 3.275
O 7.278 1.449 0.815
O 13.530 9.477 5.843
O 10.324 5.175 2.676
O 13.442 6.924 6.299
O 12.287 7.116 1.982
O 12.236 4.279 5.692
O 15.347 8.418 7.127


3.
40
Lattice="7.501 0.000 0.000 0.382 7.494 0.000 3.562 3.401 7.501" Properties=species:S:1:pos:R:3 comment="Li4NbCrTe2O12, relaxed, DFT PBE+U" final_energy_ev_per_atom=-6.307 spacegroup="No. 1" formation_energy_kj_per_mol_fu=-4180 magnetic_moment_mub_per_fu=0.0 pbc="T T T"
Li 0.000 0.000 0.000
Li 3.886 7.245 7.465
Li 3.847 3.640 3.452
Li 4.269 7.582 3.323
Li 3.941 3.745 0.001
Li 7.443 3.503 7.464
Li 7.790 7.388 3.453
Li 7.831 3.832 3.323
Nb 6.209 9.437 5.253
Nb 9.769 5.690 5.253
Cr 2.231 2.096 1.458
Cr 6.172 5.842 1.459
Te 2.460 5.865 1.476
Te 6.003 5.679 5.208
Te 6.021 2.118 1.476
Te 9.945 9.426 5.208
O 1.827 2.583 3.402
O 2.839 5.358 3.323
O 4.176 6.205 5.660
O 2.001 4.065 0.954
O 4.321 9.038 4.687
O 3.048 7.682 1.831
O 5.694 9.869 7.082
O 6.426 5.198 7.009
O 5.476 3.885 4.683
O 4.192 2.597 1.847
O 4.277 5.503 0.908
O 6.607 7.533 5.638
O 5.767 6.334 3.405
O 6.399 1.611 3.324
O 8.119 9.952 5.660
O 5.939 7.816 0.952
O 7.880 5.292 4.687
O 6.617 3.929 1.829
O 9.253 6.122 7.081
O 10.370 8.942 7.007
O 9.418 7.632 4.683
O 8.134 6.342 1.846
O 7.842 1.754 0.909
O 10.166 3.786 5.637


4.
28
Lattice="5.212 -2.983 0.000 5.212 2.983 0.000 -0.103 0.000 9.939" Properties=species:S:1:pos:R:3 comment="Li4Ti3Nb3Cr2O16, relaxed, DFT PBE+U" final_energy_ev_per_atom=-7.991 spacegroup="No. 8" formation_energy_kj_per_mol_fu=-7588 magnetic_moment_mub_per_fu=7.5 pbc="T T T"
Li 0.000 0.000 0.000
Li 0.003 0.000 5.005
Li 3.509 0.000 9.008
Li 7.051 0.000 3.953
Ti 4.426 1.471 2.219
Ti 4.426 -1.471 2.219
Ti 8.749 0.000 7.205
Nb 1.832 0.000 2.167
Nb 6.154 1.352 7.121
Nb 6.154 -1.352 7.121
Cr 3.515 0.000 4.873
Cr 6.977 0.000 9.899
O 0.026 0.000 3.210
O 0.028 0.000 8.139
O 2.800 1.321 3.433
O 1.759 0.000 5.987
O 4.418 1.497 6.052
O 6.132 1.529 1.097
O 3.602 0.000 1.105
O 5.074 0.000 3.394
O 2.800 -1.321 3.433
O 5.417 0.000 8.551
O 7.789 1.322 8.357
O 4.418 -1.497 6.052
O 7.224 0.000 5.912
O 6.132 -1.529 1.097
O 8.831 0.000 1.132
O 7.789 -1.322 8.357


5.
28
Lattice="5.219 -3.002 0.000 5.219 3.002 0.000 -0.088 0.000 9.683" Properties=species:S:1:pos:R:3 comment="Li4Nb2V3Cr3O16, relaxed, DFT PBE+U" final_energy_ev_per_atom=-7.645 spacegroup="No. 8" formation_energy_kj_per_mol_fu=-7036 magnetic_moment_mub_per_fu=15.0 pbc="T T T"
Li 0.000 0.000 0.000
Li -0.037 0.000 4.840
Li 3.442 0.000 5.722
Li 6.972 0.000 0.913
Nb 3.413 0.000 9.673
Nb 6.950 0.000 4.816
V 1.777 0.000 2.656
V 6.058 1.456 7.513
V 6.058 -1.456 7.513
Cr 4.322 1.465 2.685
Cr 4.322 -1.465 2.685
Cr 8.614 0.000 7.527
O 0.004 0.000 1.808
O -0.043 0.000 6.655
O 2.739 1.330 1.437
O 1.686 0.000 8.721
O 4.276 1.492 8.701
O 3.452 0.000 3.711
O 6.062 1.482 3.867
O 5.014 0.000 1.479
O 2.739 -1.330 1.437
O 5.387 0.000 6.261
O 7.695 1.309 6.287
O 4.276 -1.492 8.701
O 6.900 0.000 8.560
O 6.062 -1.482 3.867
O 8.681 0.000 3.840
O 7.695 -1.309 6.287


6.
14
Lattice="2.925 1.689 4.857 -2.925 1.689 4.857 0.000 -3.377 4.857" Properties=species:S:1:pos:R:3 comment="Li2Cr3NiO8, relaxed, DFT PBE+U" final_energy_ev_per_atom=-6.573 spacegroup="No. 160" relative_energy_mev_per_atom=25 formation_energy_kj_per_mol_fu=-2694 magnetic_moment_mub_per_fu=8.0 pbc="T T T"
Li 0.000 0.000 0.000
Li 0.000 0.000 5.498
Cr 0.000 -1.714 7.931
Cr -1.484 0.857 7.931
Cr 1.484 0.857 7.931
Ni 0.000 0.000 11.003
O 0.000 -1.549 4.068
O -1.342 0.775 4.068
O 0.000 0.000 1.993
O -1.349 -0.779 6.886
O 1.342 0.775 4.068
O 0.000 0.000 8.991
O 1.349 -0.779 6.886
O 0.000 1.558 6.886


7.
60
Lattice="10.200 0.000 0.000 0.000 5.847 0.000 -3.482 0.000 9.704" Properties=species:S:1:pos:R:3 comment="Li3Cr3NiO8, relaxed, DFT PBE+U" final_energy_ev_per_atom=-6.480 spacegroup="No. 10" relative_energy_mev_per_atom=11 formation_energy_kj_per_mol_fu=-3009 magnetic_moment_mub_per_fu=9.0 pbc="T T T"
Li 0.000 0.000 0.000
Li -1.741 0.000 4.852
Li 0.808 1.432 4.833
Li 0.808 4.414 4.833
Li -0.920 1.474 9.699
Li -0.920 4.372 9.699
Li 5.100 0.000 0.000
Li 3.359 2.923 4.852
Li 7.638 1.474 0.006
Li 7.638 4.372 0.006
Li 5.910 1.432 4.871
Li 5.910 4.414 4.871
Cr -2.605 1.463 7.275
Cr -2.605 4.384 7.275
Cr 1.658 2.923 2.370
Cr -0.047 2.923 7.265
Cr 4.220 1.456 2.419
Cr 4.220 4.391 2.419
Cr 2.498 1.456 7.285
Cr 2.498 4.391 7.285
Cr 6.765 2.923 2.439
Cr 5.061 2.923 7.334
Cr 9.323 1.463 2.430
Cr 9.323 4.384 2.430
Ni -0.060 0.000 7.293
Ni 1.691 0.000 2.470
Ni 5.027 0.000 7.234
Ni 6.778 0.000 2.411
O -0.084 0.000 3.559
O -1.757 0.000 8.376
O 0.015 2.923 3.463
O -1.714 2.923 8.321
O 0.841 1.462 1.397
O 0.841 4.385 1.397
O -0.868 1.404 6.261
O -0.868 4.442 6.261
O 0.757 1.412 8.301
O 0.757 4.435 8.301
O 2.505 1.558 3.451
O 2.505 4.288 3.451
O 1.583 0.000 6.246
O 3.343 2.923 1.352
O 1.656 2.923 6.181
O 3.428 0.000 1.311
O 3.290 0.000 8.394
O 5.062 2.923 3.523
O 5.136 0.000 3.459
O 3.375 2.923 8.352
O 4.214 1.558 6.253
O 4.214 4.288 6.253
O 5.962 1.412 1.403
O 5.962 4.435 1.403
O 7.586 1.404 3.444
O 7.586 4.442 3.444
O 5.878 1.462 8.307
O 5.878 4.385 8.307
O 8.432 2.923 1.383
O 6.704 2.923 6.241
O 8.475 0.000 1.328
O 6.803 0.000 6.145


8.
30
Lattice="0.000 3.044 -4.982 -3.312 8.181 4.998 5.148 -1.526 2.488" Properties=species:S:1:pos:R:3 comment="Li3Cr3NiO8, relaxed, DFT PBE+U" final_energy_ev_per_atom=-6.491 relative_energy_mev_per_atom=0 formation_energy_kj_per_mol_fu=-3025 magnetic_moment_mub_per_fu=0.0 pbc="T T T"
Li 1.746 2.044 1.247
Cr 2.659 5.378 4.986
Ni 0.000 3.041 -4.978
O 1.120 8.041 3.113
Li 0.918 3.328 3.744
O -0.060 3.042 1.849
Ni -1.656 5.610 0.012
O 2.764 3.868 0.755
O -0.941 5.827 1.760
Cr -1.656 7.129 -2.474
O 3.552 1.052 0.633
Li 2.575 0.759 -1.246
Li -0.739 10.460 1.260
Li 0.917 4.848 1.252
O -1.805 7.187 4.389
Cr -2.480 8.419 0.003
O 1.984 5.081 3.102
Li 0.090 7.656 1.255
O 2.776 2.429 3.105
Cr 4.315 2.810 -0.004
O -0.928 7.261 -0.593
O 3.640 2.513 -1.888
O 0.715 3.258 -3.229
Cr -0.824 2.807 -0.005
O -1.716 8.654 1.857
O -0.149 4.619 -0.601
Cr 0.000 1.516 -2.482
O 0.728 1.649 -0.601
O 1.108 6.437 5.744
O 1.895 6.664 0.641